Record 1
36
Lattice="5.103 0.000 0.000 0.000 8.888 0.000 0.000 0.000 9.706" Properties=species:S:1:pos:R:3 comment="r2SCAN Lu2WO6, relaxed" total_magnetization_mub_per_atom=0.00 spacegroup="P2_12_12_1, No. 19" formation_energy_kj_per_mol_atoms=-323.69 pbc="T T T"
O 4.086 3.176 2.275
O 3.763 1.041 5.529
Lu 2.618 0.926 9.384
O 1.635 4.050 6.754
Lu 2.761 1.946 3.624
O 0.897 7.651 6.618
Lu 5.036 7.962 4.531
O 3.848 3.654 4.826
O 1.212 3.403 4.177
O 1.654 1.237 1.765
O 3.806 5.234 9.679
O 1.297 0.790 4.880
O 0.916 4.838 1.901
O 4.206 3.207 7.941
O 1.255 8.098 0.027
Lu 4.893 6.942 8.477
O 1.339 5.485 9.030
O 4.187 0.394 2.952
W 4.917 4.488 3.351
Lu 2.485 5.370 5.175
O 1.017 7.620 2.578
O 3.448 5.681 3.088
Lu 0.066 3.518 0.322
O 2.068 3.029 9.392
O 4.620 1.415 0.314
O 0.483 5.859 4.539
W 2.738 4.400 8.204
Lu 0.209 2.498 6.082
O 3.569 5.712 7.128
W 0.186 0.044 1.502
O 3.467 8.495 7.805
O 3.035 7.474 5.167
O 1.534 1.268 7.431
Lu 2.342 6.390 1.229
W 2.365 8.844 6.355
O 3.891 7.847 0.676


Record 2
14
Lattice="-3.510 -0.336 -4.348 2.402 -1.084 -4.939 -0.877 -7.904 1.235" Properties=species:S:1:pos:R:3 comment="r2SCAN BaO6, relaxed" total_magnetization_mub_per_atom=0.57 spacegroup="C2/c, No. 15" formation_energy_kj_per_mol_atoms=-77.62 pbc="T T T"
O -0.691 -7.949 -0.332
O -1.739 -8.157 -3.029
O -0.932 -3.911 -0.881
O -1.910 -2.299 -7.087
O -1.295 -1.374 -7.720
O -1.411 -2.848 -1.406
O -0.246 -1.167 -5.024
O -0.076 -7.024 -0.966
O -0.574 -6.476 -6.646
Ba -2.436 -2.475 -4.169
O -1.472 -5.019 -4.327
O -0.514 -4.304 -3.725
O -1.053 -5.412 -7.171
Ba 0.450 -6.848 -3.883